No. 1
A relaxed structure of Na9NbZn11S18O72. Source: the Materials Project database, functional GGA-PBE.

The structure in CIF format:
```
data_Na9NbZn11S18O72
_symmetry_space_group_name_H-M 'P 1'
_symmetry_Int_Tables_number 1
_symmetry_space_group_name_Hall 'P 1'
_cell_length_a 8.7826
_cell_length_b 8.7965
_cell_length_c 22.5461
_cell_angle_alpha 90.38
_cell_angle_beta 89.73
_cell_angle_gamma 120.17
loop_
_atom_site_label
_atom_site_fract_x
_atom_site_fract_y
_atom_site_fract_z
Na1 0.3615 0.3620 0.2541
Na2 0.3033 0.9721 0.0887
Na3 0.9717 0.3042 0.4198
Na4 0.0007 0.9821 0.5016
Na5 0.9834 0.0007 0.0027
Na6 0.6667 0.3335 0.8312
Na7 0.6677 0.3342 0.3368
Na8 0.3340 0.6672 0.1709
Na9 0.3343 0.6678 0.6499
Nb1 0.3334 0.6671 0.8134
Zn1 0.9957 0.9856 0.3489
Zn2 0.9996 0.9994 0.8483
Zn3 0.0001 0.0009 0.6468
Zn4 0.9874 0.9963 0.1544
Zn5 0.6667 0.3351 0.6714
Zn6 0.6810 0.3375 0.1819
Zn7 0.6712 0.3361 0.9861
Zn8 0.6578 0.3339 0.4879
Zn9 0.3341 0.6576 0.0179
Zn10 0.3381 0.6721 0.5148
Zn11 0.3370 0.6787 0.3217
S1 0.2983 0.9991 0.2471
S2 0.6987 0.6992 0.2495
S3 0.0001 0.2988 0.2518
S4 0.2966 0.2906 0.7519
S5 0.9941 0.7028 0.7518
S6 0.7101 0.0069 0.7519
S7 0.9679 0.3340 0.5822
S8 0.3671 0.0328 0.5842
S9 0.6656 0.6329 0.5840
S10 0.9651 0.6332 0.0819
S11 0.6683 0.0377 0.0815
S12 0.3691 0.3330 0.0842
S13 0.6287 0.6679 0.9174
S14 0.0382 0.3705 0.9175
S15 0.3322 0.9626 0.9188
S16 0.6334 0.9672 0.4170
S17 0.3345 0.3686 0.4143
S18 0.0357 0.6662 0.4175
O1 0.2069 0.0260 0.2979
O2 0.8030 0.7839 0.3028
O3 0.9814 0.1988 0.3067
O4 0.2167 0.1916 0.8064
O5 0.9741 0.7821 0.8068
O6 0.8090 0.0265 0.8065
O7 0.7791 0.9662 0.6990
O8 0.1871 0.2199 0.6992
O9 0.0349 0.8122 0.6994
O10 0.7777 0.7980 0.1942
O11 0.0285 0.2133 0.1988
O12 0.2012 0.9783 0.1903
O13 0.8841 0.3557 0.6368
O14 0.4675 0.1114 0.6402
O15 0.6425 0.5330 0.6399
O16 0.8811 0.5293 0.1353
O17 0.6392 0.1221 0.1341
O18 0.4692 0.3512 0.1392
O19 0.4552 0.3063 0.0311
O20 0.8649 0.5530 0.0266
O21 0.6914 0.1392 0.0264
O22 0.4553 0.1393 0.5315
O23 0.6866 0.5453 0.5313
O24 0.8655 0.3161 0.5277
O25 0.5459 0.6893 0.9706
O26 0.1414 0.4546 0.9706
O27 0.3138 0.8636 0.9731
O28 0.5486 0.8624 0.4700
O29 0.3079 0.4599 0.4651
O30 0.1416 0.6874 0.4706
O31 0.1146 0.6359 0.3630
O32 0.5341 0.8886 0.3615
O33 0.3552 0.4654 0.3576
O34 0.1403 0.4838 0.8634
O35 0.3438 0.8559 0.8657
O36 0.5148 0.6556 0.8634
O37 0.0162 0.8235 0.4117
O38 0.8152 0.9912 0.4129
O39 0.1706 0.1913 0.4109
O40 0.0218 0.1968 0.9097
O41 0.1742 0.9768 0.9100
O42 0.8026 0.8258 0.9095
O43 0.9833 0.1733 0.5867
O44 0.1895 0.0155 0.5878
O45 0.8264 0.8103 0.5878
O46 0.9892 0.8140 0.0866
O47 0.8238 0.0159 0.0881
O48 0.1910 0.1705 0.0874
O49 0.6762 0.1529 0.7461
O50 0.4773 0.3249 0.7458
O51 0.8475 0.5220 0.7457
O52 0.6749 0.5178 0.2455
O53 0.8422 0.3172 0.2453
O54 0.4753 0.1630 0.2440
O55 0.6331 0.5027 0.9161
O56 0.8677 0.3651 0.9162
O57 0.4974 0.1330 0.9163
O58 0.6577 0.1483 0.4220
O59 0.4907 0.3480 0.4212
O60 0.8581 0.5037 0.4225
O61 0.3495 0.4902 0.0788
O62 0.1472 0.6575 0.0784
O63 0.5036 0.8607 0.0775
O64 0.3477 0.8558 0.5790
O65 0.5071 0.6504 0.5786
O66 0.1457 0.4920 0.5782
O67 0.3184 0.8431 0.2540
O68 0.5177 0.6753 0.2543
O69 0.1626 0.4765 0.2550
O70 0.3157 0.4769 0.7611
O71 0.1615 0.6842 0.7614
O72 0.5231 0.8393 0.7612
```

Properties
space group = P1, No. 1
ΔH_f (0 K) = -220.04 eV per formula unit
V = 1505.8 Å³ per cell

No. 2
A relaxed structure of NaSrNbSbO6. Source: the Materials Project database, functional GGA-PBE.

The structure in CIF format:
```
data_NaSrNbSbO6
_symmetry_space_group_name_H-M 'P 1'
_symmetry_Int_Tables_number 1
_symmetry_space_group_name_Hall 'P 1'
_cell_length_a 5.8219
_cell_length_b 5.8219
_cell_length_c 5.8219
_cell_angle_alpha 60.00
_cell_angle_beta 60.00
_cell_angle_gamma 60.00
loop_
_atom_site_label
_atom_site_fract_x
_atom_site_fract_y
_atom_site_fract_z
Na1 0.7500 0.7500 0.7500
Sr1 0.2500 0.2500 0.2500
Nb1 0.0000 0.0000 0.0000
Sb1 0.5000 0.5000 0.5000
O1 0.7561 0.2439 0.2439
O2 0.2439 0.7561 0.7561
O3 0.7561 0.2439 0.7561
O4 0.2439 0.7561 0.2439
O5 0.7561 0.7561 0.2439
O6 0.2439 0.2439 0.7561
```

Properties
space group = F-43m, No. 216
ΔH_f (0 K) = -25.46 eV per formula unit
V = 139.5 Å³ per cell

No. 3
A relaxed structure of Na6ScNb3Si6O24. Source: the Materials Project database, functional GGA-PBE.

The structure in CIF format:
```
data_Na6ScNb3Si6O24
_symmetry_space_group_name_H-M 'P 1'
_symmetry_Int_Tables_number 1
_symmetry_space_group_name_Hall 'P 1'
_cell_length_a 9.1092
_cell_length_b 9.1113
_cell_length_c 22.5646
_cell_angle_alpha 90.03
_cell_angle_beta 90.01
_cell_angle_gamma 119.96
loop_
_atom_site_label
_atom_site_fract_x
_atom_site_fract_y
_atom_site_fract_z
Na1 0.0070 0.0005 0.4997
Na2 0.9914 0.9921 0.9973
Na3 0.6666 0.3326 0.8339
Na4 0.6667 0.3328 0.3274
Na5 0.3429 0.6672 0.1631
Na6 0.3244 0.6579 0.6655
Na7 0.6390 0.0132 0.2463
Na8 0.3731 0.3604 0.2455
Na9 0.9877 0.6260 0.2460
Na10 0.6335 0.6240 0.7468
Na11 0.9892 0.3657 0.7471
Na12 0.3775 0.0101 0.7476
Na13 0.6656 0.9694 0.5860
Na14 0.3061 0.9727 0.0833
Na15 0.0290 0.3370 0.0834
Na16 0.9648 0.2886 0.4131
Na17 0.3242 0.0341 0.4132
Na18 0.7108 0.6771 0.4135
Sc1 0.9997 0.0000 0.3524
Sc2 0.6673 0.3348 0.6854
Sc3 0.6658 0.3340 0.1826
Nb1 0.0006 0.0008 0.8569
Nb2 0.0046 0.0000 0.6446
Nb3 0.9958 0.9961 0.1456
Nb4 0.6674 0.3343 0.9780
Nb5 0.6662 0.3342 0.4824
Nb6 0.3373 0.6667 0.0182
Nb7 0.3295 0.6627 0.5222
Nb8 0.3329 0.6667 0.3122
Nb9 0.3339 0.6672 0.8148
Si1 0.2924 0.0010 0.2514
Si2 0.7081 0.7074 0.2522
Si3 0.9994 0.2913 0.2512
Si4 0.2872 0.2889 0.7510
Si5 0.0011 0.7122 0.7513
Si6 0.7114 0.9986 0.7502
Si7 0.9600 0.3342 0.5858
Si8 0.3732 0.0417 0.5848
Si9 0.6674 0.6259 0.5856
Si10 0.9570 0.6249 0.0834
Si11 0.6657 0.0409 0.0836
Si12 0.3769 0.3361 0.0842
Si13 0.6259 0.6656 0.9160
Si14 0.0405 0.3754 0.9168
Si15 0.3343 0.9592 0.9172
Si16 0.6226 0.9580 0.4180
Si17 0.3359 0.3775 0.4169
Si18 0.0420 0.6647 0.4174
O1 0.2094 0.0297 0.3105
O2 0.8191 0.7886 0.3115
O3 0.9702 0.1795 0.3102
O4 0.1891 0.1653 0.8072
O5 0.9767 0.8112 0.8074
O6 0.8360 0.0228 0.8062
O7 0.7979 0.9649 0.6907
O8 0.1602 0.1954 0.6932
O9 0.0335 0.8385 0.6935
O10 0.8068 0.8382 0.1953
O11 0.0327 0.1994 0.1926
O12 0.1673 0.9683 0.1928
O13 0.8811 0.3638 0.6448
O14 0.4910 0.1165 0.6426
O15 0.6346 0.5164 0.6444
O16 0.8877 0.5125 0.1431
O17 0.6259 0.1119 0.1437
O18 0.4790 0.3651 0.1453
O19 0.4726 0.3015 0.0285
O20 0.8330 0.5259 0.0270
O21 0.6989 0.1701 0.0279
O22 0.4703 0.1625 0.5254
O23 0.6911 0.5289 0.5261
O24 0.8347 0.3055 0.5267
O25 0.5244 0.6894 0.9720
O26 0.1593 0.4703 0.9747
O27 0.3090 0.8395 0.9749
O28 0.5265 0.8379 0.4748
O29 0.3134 0.4804 0.4721
O30 0.1687 0.6891 0.4722
O31 0.1327 0.6327 0.3581
O32 0.4984 0.8647 0.3592
O33 0.3671 0.5000 0.3579
O34 0.1379 0.4959 0.8583
O35 0.3582 0.8622 0.8585
O36 0.5062 0.6413 0.8572
O37 0.0232 0.8313 0.4154
O38 0.8087 0.9781 0.4152
O39 0.1693 0.1921 0.4153
O40 0.0252 0.1899 0.9104
O41 0.1643 0.9748 0.9105
O42 0.8104 0.8360 0.9107
O43 0.9668 0.1571 0.5875
O44 0.1858 0.0242 0.5880
O45 0.8346 0.8178 0.5876
O46 0.9842 0.8184 0.0885
O47 0.8415 0.0303 0.0888
O48 0.1855 0.1621 0.0883
O49 0.6899 0.1643 0.7482
O50 0.4730 0.3080 0.7476
O51 0.8353 0.5260 0.7482
O52 0.6825 0.5196 0.2454
O53 0.8376 0.3183 0.2453
O54 0.4816 0.1621 0.2459
O55 0.6392 0.4949 0.9232
O56 0.8547 0.3595 0.9227
O57 0.5048 0.1442 0.9235
O58 0.6339 0.1448 0.4221
O59 0.5110 0.3667 0.4221
O60 0.8566 0.4895 0.4227
O61 0.3410 0.4953 0.0751
O62 0.1495 0.6511 0.0744
O63 0.4966 0.8532 0.0741
O64 0.3580 0.8560 0.5740
O65 0.5052 0.6566 0.5752
O66 0.1485 0.4985 0.5750
O67 0.3019 0.8226 0.2551
O68 0.5213 0.6989 0.2547
O69 0.1775 0.4792 0.2550
O70 0.2994 0.4762 0.7554
O71 0.1766 0.7001 0.7555
O72 0.5230 0.8237 0.7557
```

Properties
space group = P1, No. 1
ΔH_f (0 K) = -120.25 eV per formula unit
V = 1622.6 Å³ per cell

No. 4
A relaxed structure of Na6ScNb3Si6O24. Source: the Materials Project database, functional GGA-PBE.

The structure in CIF format:
```
data_Na6ScNb3Si6O24
_symmetry_space_group_name_H-M 'P 1'
_symmetry_Int_Tables_number 1
_symmetry_space_group_name_Hall 'P 1'
_cell_length_a 15.8316
_cell_length_b 9.0855
_cell_length_c 9.0976
_cell_angle_alpha 90.65
_cell_angle_beta 125.03
_cell_angle_gamma 89.53
loop_
_atom_site_label
_atom_site_fract_x
_atom_site_fract_y
_atom_site_fract_z
Na1 0.2504 0.7502 0.9992
Na2 0.7458 0.7486 0.4870
Na3 0.7504 0.2502 0.9992
Na4 0.2458 0.2486 0.4870
Na5 0.5038 0.0840 0.7608
Na6 0.5015 0.8953 0.2375
Na7 0.0038 0.5840 0.7608
Na8 0.0015 0.3953 0.2375
Na9 0.8072 0.9244 0.2054
Na10 0.1831 0.0784 0.8041
Na11 0.3072 0.4244 0.2054
Na12 0.6831 0.5784 0.8041
Sc1 0.1046 0.2455 0.0683
Sc2 0.6046 0.7455 0.0683
Nb1 0.1058 0.7513 0.5632
Nb2 0.8949 0.7533 0.9293
Nb3 0.8932 0.2492 0.4358
Nb4 0.6058 0.2513 0.5632
Nb5 0.3949 0.2533 0.9293
Nb6 0.3932 0.7492 0.4358
Si1 0.9972 0.9592 0.7483
Si2 0.0020 0.0431 0.2539
Si3 0.4972 0.4592 0.7483
Si4 0.5020 0.5431 0.2539
Si5 0.3550 0.8926 0.7601
Si6 0.6474 0.8961 0.7495
Si7 0.6469 0.1111 0.2452
Si8 0.3552 0.1020 0.2521
Si9 0.8550 0.3926 0.7601
Si10 0.1474 0.3961 0.7495
Si11 0.1469 0.6111 0.2452
Si12 0.8552 0.6020 0.2521
O1 0.1507 0.5750 0.7321
O2 0.8485 0.5751 0.7562
O3 0.8554 0.4213 0.2596
O4 0.1558 0.4341 0.2503
O5 0.6507 0.0750 0.7321
O6 0.3485 0.0751 0.7562
O7 0.3554 0.9213 0.2596
O8 0.6558 0.9341 0.2503
O9 0.4291 0.5636 0.5669
O10 0.5725 0.5631 0.9176
O11 0.5611 0.4347 0.4293
O12 0.4345 0.4272 0.0800
O13 0.9291 0.0636 0.5669
O14 0.0725 0.0631 0.9176
O15 0.0611 0.9347 0.4293
O16 0.9345 0.9272 0.0800
O17 0.2512 0.8334 0.7397
O18 0.7429 0.8126 0.7586
O19 0.7441 0.1852 0.2552
O20 0.2649 0.1867 0.2494
O21 0.7512 0.3334 0.7397
O22 0.2429 0.3126 0.7586
O23 0.2441 0.6852 0.2552
O24 0.7649 0.6867 0.2494
O25 0.3606 0.8504 0.5861
O26 0.6505 0.8671 0.9272
O27 0.6433 0.1628 0.4158
O28 0.3545 0.1415 0.0723
O29 0.8606 0.3504 0.5861
O30 0.1505 0.3671 0.9272
O31 0.1433 0.6628 0.4158
O32 0.8545 0.6415 0.0723
O33 0.4585 0.8368 0.9412
O34 0.5383 0.8257 0.5728
O35 0.5366 0.1701 0.0637
O36 0.4673 0.1606 0.4268
O37 0.9585 0.3368 0.9412
O38 0.0383 0.3257 0.5728
O39 0.0366 0.6701 0.0637
O40 0.9673 0.6606 0.4268
O41 0.0749 0.8481 0.7321
O42 0.9179 0.8507 0.7577
O43 0.9128 0.1367 0.2561
O44 0.0802 0.1530 0.2534
O45 0.5749 0.3481 0.7321
O46 0.4179 0.3507 0.7577
O47 0.4128 0.6367 0.2561
O48 0.5802 0.6530 0.2534
```

Properties
ΔH_f (0 K) = -120.20 eV per formula unit
V = 1071.5 Å³ per cell

What is the V in the second record?
139.5 Å³ per cell

Among the records above, which one has the highest V?
number 3

Which value of ΔH_f (0 K) does entry 2 give?
-25.46 eV per formula unit